SrGaGe: relaxed, GGA-PBE.

Cell and atoms, written as POSCAR:
```
SrGaGe
1.0
4.3424 0.0000 0.0000
-2.1712 3.7606 0.0000
0.0000 0.0000 4.7076
Sr Ga Ge
1 1 1
Direct
0.0000 0.0000 0.0000
0.3333 0.6667 0.5000
0.6667 0.3333 0.5000
```

formation energy from the elements	-50.7	kJ/mol of atoms
VASP energy	-10.92	eV for the cell shown
theoretical density	5.0	Mg/m³

SrGaGe: relaxed, GGA-PBE.

Cell and atoms, written as POSCAR:
```
SrGaGe
1.0
4.3242 0.0000 0.0000
-2.1621 3.7448 0.0000
0.0000 0.0000 19.1345
Sr Ga Ge
4 4 4
Direct
0.0000 0.0000 0.0000
0.0000 0.0000 0.2500
0.0000 0.0000 0.5000
0.0000 0.0000 0.7500
0.3333 0.6667 0.1458
0.3333 0.6667 0.3542
0.6667 0.3333 0.6458
0.6667 0.3333 0.8542
0.3333 0.6667 0.6125
0.3333 0.6667 0.8875
0.6667 0.3333 0.1125
0.6667 0.3333 0.3875
```

formation energy from the elements	-52.1	kJ/mol of atoms
VASP energy	-43.84	eV for the cell shown
theoretical density	4.9	Mg/m³

U3Ga2Ge3: relaxed, GGA-PBE.

Cell and atoms, written as POSCAR:
```
U3Ga2Ge3
1.0
-3.8740 3.8740 5.5402
3.8740 -3.8740 5.5402
3.8740 3.8740 -5.5402
U Ga Ge
6 4 6
Direct
0.0000 0.0000 0.0000
0.1136 0.6136 0.1883
0.4253 0.9253 0.8117
0.5000 0.5000 0.0000
0.6136 0.4253 0.5000
0.9253 0.1136 0.5000
0.2242 0.4438 0.5000
0.4438 0.9438 0.2196
0.7242 0.2242 0.7804
0.9438 0.7242 0.5000
0.1036 0.6036 0.7984
0.2501 0.2501 0.0000
0.3052 0.1036 0.5000
0.6036 0.8052 0.5000
0.7501 0.7501 0.0000
0.8052 0.3052 0.2016
```

polymorph energy (0 for the lowest one)	0	kJ/mol of formula units
M_tot	0.95	μB per atom
formation energy from the elements	-23.0	kJ/mol of atoms
VASP energy	-111.42	eV for the cell shown
theoretical density	10.7	Mg/m³

U3Ga2Ge3: relaxed, GGA-PBE.

Cell and atoms, written as POSCAR:
```
U3Ga2Ge3
1.0
0.0000 5.5999 5.2206
5.4353 0.0000 5.2206
5.4353 5.5999 0.0000
U Ga Ge
6 4 6
Direct
0.0331 0.7355 0.9669
0.1479 0.8521 0.1479
0.2096 0.5199 0.4801
0.5199 0.2096 0.7904
0.7355 0.0331 0.2645
0.8521 0.1479 0.8521
0.2075 0.2075 0.2925
0.4219 0.7010 0.5781
0.7010 0.4219 0.2990
0.7075 0.7075 0.7925
0.0314 0.3382 0.9686
0.3382 0.0314 0.6618
0.4591 0.4591 0.0409
0.5298 0.8344 0.1656
0.8344 0.5298 0.4702
0.9591 0.9591 0.5409
```

polymorph energy (0 for the lowest one)	108	kJ/mol of formula units
M_tot	0.02	μB per atom
formation energy from the elements	-9.5	kJ/mol of atoms
VASP energy	-109.18	eV for the cell shown
theoretical density	11.2	Mg/m³

V6GaGe: relaxed, GGA-PBE.

Cell and atoms, written as POSCAR:
```
V6GaGe
1.0
4.7779 0.0000 0.0000
0.0000 4.7779 0.0000
0.0000 0.0000 4.7779
V Ga Ge
6 1 1
Direct
0.0000 0.2505 0.5000
0.0000 0.7495 0.5000
0.2505 0.5000 0.0000
0.5000 0.0000 0.2505
0.5000 0.0000 0.7495
0.7495 0.5000 0.0000
0.0000 0.0000 0.0000
0.5000 0.5000 0.5000
```

formation energy from the elements	-24.4	kJ/mol of atoms
VASP energy	-64.18	eV for the cell shown
theoretical density	6.8	Mg/m³

GaH: relaxed, GGA-PBE.

Cell and atoms, written as POSCAR:
```
GaH
1.0
3.2173 0.0000 0.0000
-1.6087 2.7863 0.0000
0.0000 0.0000 5.6730
Ga H
2 2
Direct
0.3333 0.6667 0.0000
0.6667 0.3333 0.5000
0.3333 0.6667 0.3403
0.6667 0.3333 0.8403
```

M_tot	0.00	μB per atom
formation energy from the elements	34.4	kJ/mol of atoms
VASP energy	-11.06	eV for the cell shown
theoretical density	4.6	Mg/m³